No. 1
The following is a r²SCAN calculation of a relaxed ZrCuF6 crystal, from the Materials Project database.

abc: 5.669 5.669 5.669
angles: 60.00 60.00 60.00
Sites, in units of the cell vectors:
1 Zr 0.000 0.000 0.000
2 Cu 0.500 0.500 0.500
3 F 0.251 0.251 0.749
4 F 0.251 0.749 0.251
5 F 0.251 0.749 0.749
6 F 0.749 0.251 0.251
7 F 0.749 0.251 0.749
8 F 0.749 0.749 0.251

Output
Magnetic moment   1.00 μB per formula unit
Calculated total energy   -9.66 eV/atom

No. 2
The following is a r²SCAN calculation of a relaxed Li5Co3O8 crystal, from the Materials Project database.

abc: 5.686 2.797 7.939
angles: 90.00 90.66 90.00
Sites, in units of the cell vectors:
1 Li 0.000 0.000 0.000
2 Li 0.000 0.000 0.500
3 Li 0.240 0.500 0.266
4 Li 0.500 0.000 0.500
5 Li 0.760 0.500 0.734
6 Co 0.245 0.500 0.744
7 Co 0.500 0.000 0.000
8 Co 0.755 0.500 0.256
9 O 0.025 0.000 0.752
10 O 0.253 0.500 0.520
11 O 0.274 0.500 0.988
12 O 0.477 0.000 0.761
13 O 0.523 0.000 0.239
14 O 0.726 0.500 0.012
15 O 0.747 0.500 0.480
16 O 0.975 0.000 0.248

Output
Magnetic moment   2.00 μB per formula unit
Calculated total energy   -7.95 eV/atom

No. 3
The following is a r²SCAN calculation of a relaxed Al3Cu2 crystal, from the Materials Project database.

abc: 4.092 4.092 4.993
angles: 90.00 90.00 120.00
Sites, in units of the cell vectors:
1 Al 0.000 0.000 0.000
2 Al 0.333 0.667 0.350
3 Al 0.667 0.333 0.650
4 Cu 0.333 0.667 0.840
5 Cu 0.667 0.333 0.160

Output
Magnetic moment   0.00 μB per formula unit
Calculated total energy   -8.57 eV/atom

No. 4
The following is a r²SCAN calculation of a relaxed LiSc2Ru crystal, from the Materials Project database.

abc: 4.616 4.616 4.616
angles: 60.00 60.00 60.00
Sites, in units of the cell vectors:
1 Li 0.000 0.000 0.000
2 Sc 0.250 0.250 0.250
3 Sc 0.750 0.750 0.750
4 Ru 0.500 0.500 0.500

Output
Magnetic moment   0.00 μB per formula unit
Calculated total energy   -13.00 eV/atom